# 1
# Y6Mn11S20 GGA-PBE relaxed
# total magnetization	54.036	μB/cell
# energy relative to the elements	-1309	meV per atom
# DFT total energy	-7.045	eV per atom
# space-group type	R-3m (166)
data_Y6Mn11S20
_chemical_formula_sum 'Y6 Mn11 S20'
_space_group_name_H-M_alt 'P 1'
_space_group_IT_number 1
_cell_length_a 59.989
_cell_length_b 59.989
_cell_length_c 59.989
_cell_angle_alpha 3.67
_cell_angle_beta 3.67
_cell_angle_gamma 3.67
loop_
_space_group_symop_operation_xyz
'x,y,z'
loop_
_atom_site_label
_atom_site_fract_x
_atom_site_fract_y
_atom_site_fract_z
Y1 0.101 0.101 0.101
Y2 0.152 0.152 0.152
Y3 0.202 0.202 0.202
Y4 0.798 0.798 0.798
Y5 0.848 0.848 0.848
Y6 0.899 0.899 0.899
Mn1 0.000 0.000 0.000
Mn2 0.050 0.050 0.050
Mn3 0.251 0.251 0.251
Mn4 0.300 0.300 0.300
Mn5 0.350 0.350 0.350
Mn6 0.400 0.400 0.400
Mn7 0.600 0.600 0.600
Mn8 0.650 0.650 0.650
Mn9 0.700 0.700 0.700
Mn10 0.749 0.749 0.749
Mn11 0.950 0.950 0.950
S1 0.025 0.025 0.025
S2 0.074 0.074 0.074
S3 0.124 0.124 0.124
S4 0.174 0.174 0.174
S5 0.225 0.225 0.225
S6 0.275 0.275 0.275
S7 0.325 0.325 0.325
S8 0.375 0.375 0.375
S9 0.424 0.424 0.424
S10 0.475 0.475 0.475
S11 0.525 0.525 0.525
S12 0.576 0.576 0.576
S13 0.625 0.625 0.625
S14 0.675 0.675 0.675
S15 0.725 0.725 0.725
S16 0.775 0.775 0.775
S17 0.826 0.826 0.826
S18 0.876 0.876 0.876
S19 0.926 0.926 0.926
S20 0.975 0.975 0.975

=====

# 2
# Rb8N3O GGA-PBE relaxed
# total magnetization	2.999	μB/cell
# energy relative to the elements	286	meV per atom
# DFT total energy	-2.807	eV per atom
# space-group type	Pm-3m (221)
data_Rb8N3O
_chemical_formula_sum 'Rb8 N3 O1'
_space_group_name_H-M_alt 'P 1'
_space_group_IT_number 1
_cell_length_a 7.109
_cell_length_b 7.109
_cell_length_c 7.109
_cell_angle_alpha 90.00
_cell_angle_beta 90.00
_cell_angle_gamma 90.00
loop_
_space_group_symop_operation_xyz
'x,y,z'
loop_
_atom_site_label
_atom_site_fract_x
_atom_site_fract_y
_atom_site_fract_z
Rb1 0.249 0.249 0.249
Rb2 0.249 0.249 0.751
Rb3 0.249 0.751 0.249
Rb4 0.249 0.751 0.751
Rb5 0.751 0.249 0.249
Rb6 0.751 0.249 0.751
Rb7 0.751 0.751 0.249
Rb8 0.751 0.751 0.751
N1 0.000 0.500 0.500
N2 0.500 0.000 0.500
N3 0.500 0.500 0.000
O1 0.000 0.000 0.000

=====

# 3
# CrN2 GGA-PBE relaxed
# total magnetization	0.005	μB/cell
# energy relative to the elements	-100	meV per atom
# DFT total energy	-8.635	eV per atom
# space-group type	Ima2 (46)
data_CrN2
_chemical_formula_sum 'Cr4 N8'
_space_group_name_H-M_alt 'P 1'
_space_group_IT_number 1
_cell_length_a 7.667
_cell_length_b 7.667
_cell_length_c 7.667
_cell_angle_alpha 89.00
_cell_angle_beta 106.48
_cell_angle_gamma 137.21
loop_
_space_group_symop_operation_xyz
'x,y,z'
loop_
_atom_site_label
_atom_site_fract_x
_atom_site_fract_y
_atom_site_fract_z
Cr1 0.146 0.099 0.244
Cr2 0.146 0.401 0.547
Cr3 0.854 0.599 0.453
Cr4 0.854 0.901 0.756
N1 0.025 0.025 0.000
N2 0.025 0.525 0.500
N3 0.102 0.261 0.341
N4 0.499 0.307 0.341
N5 0.499 0.658 0.691
N6 0.919 0.761 0.659
N7 0.967 0.158 0.659
N8 0.967 0.807 0.309

=====

# 4
# CaTmHg2 GGA-PBE relaxed
# energy relative to the elements	-515	meV per atom
# DFT total energy	-2.287	eV per atom
# space-group type	Fm-3m (225)
data_CaTmHg2
_chemical_formula_sum 'Ca1 Tm1 Hg2'
_space_group_name_H-M_alt 'P 1'
_space_group_IT_number 1
_cell_length_a 5.258
_cell_length_b 5.258
_cell_length_c 5.258
_cell_angle_alpha 60.00
_cell_angle_beta 60.00
_cell_angle_gamma 60.00
loop_
_space_group_symop_operation_xyz
'x,y,z'
loop_
_atom_site_label
_atom_site_fract_x
_atom_site_fract_y
_atom_site_fract_z
Ca1 0.000 0.000 0.000
Tm1 0.500 0.500 0.500
Hg1 0.250 0.250 0.250
Hg2 0.750 0.750 0.750